A plane-wave DFT calculation with PBE was carried out for a geometry-optimized MgB2H42C26N14O6 structure.

Computed properties:
Calculated volume ... 12.87 Å³ per atom
Energy ... -6.206 eV/atom
Symmetry ... No. 2

Cell: 9.0776 11.5961 12.6681 Å, 65.62 77.16 77.04°
Last column: nearest neighbours and their distance in Å.
Fractional positions:
Mg 0.0000 0.5000 0.5000  6 O 2.09-2.11
B 0.7776 0.8546 0.8355  4 C 1.59
B 0.2224 0.1454 0.1645  4 C 1.59
H 0.2524 0.6755 0.4812  1 C 1.10
H 0.7476 0.3245 0.5188  1 C 1.10
H 0.4353 0.7463 0.5047  1 C 1.10
H 0.5647 0.2537 0.4953  1 C 1.10
H 0.4491 0.7004 0.6566  1 C 1.10
H 0.5509 0.2996 0.3434  1 C 1.10
H 0.5894 0.6289 0.5693  1 C 1.10
H 0.4106 0.3711 0.4307  1 C 1.10
H 0.3341 0.3817 0.7342  1 C 1.09
H 0.6659 0.6183 0.2658  1 C 1.09
H 0.5282 0.4095 0.7067  1 C 1.10
H 0.4718 0.5905 0.2933  1 C 1.10
H 0.3871 0.4775 0.7960  1 C 1.10
H 0.6129 0.5225 0.2040  1 C 1.10
H 0.8996 0.5427 0.7489  1 C 1.10
H 0.1004 0.4573 0.2511  1 C 1.10
H 0.8520 0.5075 0.9321  1 C 1.10
H 0.1480 0.4925 0.0679  1 C 1.10
H 0.7007 0.4159 0.0152  1 C 1.10
H 0.2993 0.5841 0.9848  1 C 1.10
H 0.8951 0.3416 0.0219  1 C 1.10
H 0.1049 0.6584 0.9781  1 C 1.10
H 0.7674 0.2421 0.8151  1 C 1.09
H 0.2326 0.7579 0.1849  1 C 1.09
H 0.8467 0.1794 0.9489  1 C 1.10
H 0.1533 0.8206 0.0511  1 C 1.10
H 0.6525 0.2547 0.9462  1 C 1.10
H 0.3475 0.7453 0.0538  1 C 1.10
H 0.1404 0.2374 0.6882  1 C 1.10
H 0.8596 0.7626 0.3118  1 C 1.10
H 0.2570 0.0532 0.7830  1 C 1.10
H 0.7430 0.9468 0.2170  1 C 1.10
H 0.2240 0.9239 0.7520  1 C 1.10
H 0.7760 0.0761 0.2480  1 C 1.10
H 0.3991 0.9877 0.6919  1 C 1.10
H 0.6009 0.0123 0.3081  1 C 1.10
H 0.1649 0.1377 0.4466  1 C 1.09
H 0.8351 0.8623 0.5534  1 C 1.09
H 0.3436 0.0402 0.4848  1 C 1.10
H 0.6564 0.9598 0.5152  1 C 1.10
H 0.1703 0.9748 0.5493  1 C 1.10
H 0.8297 0.0252 0.4507  1 C 1.10
C 0.7934 0.8439 0.9618  1 N 1.17
C 0.2066 0.1561 0.0382  1 N 1.17
C 0.6503 0.7748 0.8453  1 N 1.17
C 0.3497 0.2252 0.1547  1 N 1.17
C 0.7317 0.0000 0.7542  1 N 1.17
C 0.2683 0.0000 0.2458  1 N 1.17
C 0.9364 0.7984 0.7785  1 N 1.17
C 0.0636 0.2016 0.2215  1 N 1.17
C 0.2638 0.5825 0.5557  1 H 1.10
C 0.7362 0.4175 0.4443  1 H 1.10
C 0.4676 0.6667 0.5846  3 H 1.10
C 0.5324 0.3333 0.4154  3 H 1.10
C 0.4076 0.4515 0.7192  3 H 1.09-1.10
C 0.5924 0.5485 0.2808  3 H 1.09-1.10
C 0.8650 0.4540 0.7563  1 H 1.10
C 0.1350 0.5460 0.2437  1 H 1.10
C 0.8156 0.4134 0.9644  3 H 1.10
C 0.1844 0.5866 0.0356  3 H 1.10
C 0.7674 0.2566 0.8951  3 H 1.09-1.10
C 0.2326 0.7434 0.1049  3 H 1.09-1.10
C 0.1431 0.2219 0.6075  1 H 1.10
C 0.8569 0.7781 0.3925  1 H 1.10
C 0.2755 0.0121 0.7164  3 H 1.10
C 0.7245 0.9879 0.2836  3 H 1.10
C 0.2221 0.0624 0.5175  3 H 1.09-1.10
C 0.7779 0.9376 0.4825  3 H 1.09-1.10
N 0.8069 0.8357 0.0543  1 C 1.17
N 0.1931 0.1643 0.9457  1 C 1.17
N 0.5574 0.7165 0.8510  1 C 1.17
N 0.4426 0.2835 0.1490  1 C 1.17
N 0.6970 0.1064 0.6933  1 C 1.17
N 0.3030 0.8936 0.3067  1 C 1.17
N 0.0529 0.7564 0.7371  1 C 1.17
N 0.9471 0.2436 0.2629  1 C 1.17
N 0.3757 0.5660 0.6160  3 C 1.34-1.46
N 0.6243 0.4340 0.3840  3 C 1.34-1.46
N 0.8150 0.3795 0.8659  3 C 1.34-1.46
N 0.1850 0.6205 0.1341  3 C 1.34-1.46
N 0.2083 0.1042 0.6134  3 C 1.34-1.46
N 0.7917 0.8958 0.3866  3 C 1.34-1.46
O 0.1784 0.5009 0.5789  1 C 1.26
O 0.8216 0.4991 0.4211  1 C 1.26
O 0.8730 0.4288 0.6676  1 C 1.26
O 0.1270 0.5712 0.3324  1 C 1.26
O 0.0893 0.3086 0.5202  1 C 1.25
O 0.9107 0.6914 0.4798  1 C 1.25

A plane-wave DFT calculation with PBE was carried out for a geometry-optimized Mg2B4H22C2S structure.

Computed properties:
Calculated volume ... 10.41 Å³ per atom
Energy ... -4.301 eV/atom
Symmetry ... No. 9

Cell: 7.9210 7.9210 12.5089 Å, 83.65 83.65 122.34°
Last column: nearest neighbours and their distance in Å.
Fractional positions:
Mg 0.5724 0.3981 0.9434  8 H 2.08-2.26
Mg 0.3981 0.5724 0.4434  8 H 2.08-2.26
Mg 0.7700 0.2996 0.2990  8 H 2.04-2.11
Mg 0.2996 0.7700 0.7990  8 H 2.04-2.11
B 0.6950 0.3728 0.1200  4 H 1.22-1.23
B 0.3728 0.6950 0.6200  4 H 1.22-1.23
B 0.6120 0.9308 0.3269  4 H 1.22-1.23
B 0.9308 0.6120 0.8269  4 H 1.22-1.23
B 0.6415 0.4706 0.3944  4 H 1.22-1.23
B 0.4706 0.6415 0.8944  4 H 1.22-1.23
B 0.0993 0.4371 0.3511  4 H 1.22-1.23
B 0.4371 0.0993 0.8511  4 H 1.22-1.23
H 0.1585 0.8592 0.0909  1 C 1.10
H 0.8592 0.1585 0.5909  1 C 1.10
H 0.9908 0.8577 0.2010  1 C 1.10
H 0.8577 0.9908 0.7010  1 C 1.10
H 0.2547 0.9721 0.2048  1 C 1.10
H 0.9721 0.2547 0.7048  1 C 1.10
H 0.9836 0.9774 0.9718  1 C 1.09
H 0.9774 0.9836 0.4718  1 C 1.09
H 0.0616 0.2381 0.9373  1 C 1.10
H 0.2381 0.0616 0.4373  1 C 1.10
H 0.8691 0.0738 0.0567  1 C 1.09
H 0.0738 0.8691 0.5567  1 C 1.09
H 0.6722 0.5104 0.0900  1 B 1.22
H 0.5104 0.6722 0.5900  1 B 1.22
H 0.6827 0.2680 0.0523  1 B 1.23
H 0.2680 0.6827 0.5523  1 B 1.23
H 0.8696 0.4563 0.1372  1 B 1.23
H 0.4563 0.8696 0.6372  1 B 1.23
H 0.5606 0.2612 0.2016  1 B 1.23
H 0.2612 0.5606 0.7016  1 B 1.23
H 0.7607 0.0488 0.2525  1 B 1.23
H 0.0488 0.7607 0.7525  1 B 1.23
H 0.4892 0.7952 0.2855  1 B 1.22
H 0.7952 0.4892 0.7855  1 B 1.22
H 0.6732 0.8734 0.3991  1 B 1.22
H 0.8734 0.6732 0.8991  1 B 1.22
H 0.5268 0.0075 0.3680  1 B 1.23
H 0.0075 0.5268 0.8680  1 B 1.23
H 0.6588 0.5624 0.4689  1 B 1.22
H 0.5624 0.6588 0.9689  1 B 1.22
H 0.6018 0.3025 0.4370  1 B 1.23
H 0.3025 0.6018 0.9370  1 B 1.23
H 0.5068 0.4430 0.3446  1 B 1.23
H 0.4430 0.5068 0.8446  1 B 1.23
H 0.8034 0.5728 0.3276  1 B 1.22
H 0.5728 0.8034 0.8276  1 B 1.22
H 0.0858 0.4903 0.2580  1 B 1.23
H 0.4903 0.0858 0.7580  1 B 1.23
H 0.2159 0.3821 0.3377  1 B 1.22
H 0.3821 0.2159 0.8377  1 B 1.22
H 0.1577 0.5842 0.3952  1 B 1.22
H 0.5842 0.1577 0.8952  1 B 1.22
H 0.9386 0.2934 0.4098  1 B 1.23
H 0.2934 0.9386 0.9098  1 B 1.23
C 0.1457 0.9443 0.1512  3 H 1.10
C 0.9443 0.1457 0.6512  3 H 1.10
C 0.0096 0.1097 0.0050  3 H 1.09-1.10
C 0.1097 0.0096 0.5050  3 H 1.09-1.10
S 0.2084 0.1902 0.0839  2 C 1.81
S 0.1902 0.2084 0.5839  2 C 1.81

A plane-wave DFT calculation with PBE was carried out for a geometry-optimized MnB4H24C4N2 structure.

Computed properties:
Calculated volume ... 9.37 Å³ per atom
Energy ... -5.030 eV/atom
Symmetry ... No. 122

Cell: 12.7310 12.7310 12.7310 Å, 125.72 125.72 80.34°
Last column: nearest neighbours and their distance in Å.
Fractional positions:
Mn 0.8750 0.9475 0.5725  8 H 2.05-2.15
Mn 0.3750 0.3025 0.4275  8 H 2.05-2.15
Mn 0.6975 0.1250 0.0725  8 H 2.05-2.15
Mn 0.0525 0.6250 0.9275  8 H 2.05-2.15
B 0.9453 0.1909 0.7545  3 H 1.21-1.25
B 0.8047 0.0592 0.7456  3 H 1.21-1.25
B 0.4364 0.1908 0.2455  3 H 1.21-1.25
B 0.3136 0.0591 0.2544  3 H 1.21-1.25
B 0.8092 0.0547 0.2456  3 H 1.21-1.25
B 0.9408 0.6864 0.7455  3 H 1.21-1.25
B 0.8091 0.5636 0.7544  3 H 1.21-1.25
B 0.9409 0.1953 0.2545  3 H 1.21-1.25
B 0.0022 0.8155 0.4816  3 H 1.21-1.25
B 0.7478 0.7295 0.3133  3 H 1.21-1.25
B 0.3338 0.5205 0.5184  3 H 1.21-1.25
B 0.4162 0.4345 0.6867  3 H 1.21-1.25
B 0.4795 0.9978 0.8133  3 H 1.21-1.25
B 0.2705 0.5838 0.0184  3 H 1.21-1.25
B 0.1845 0.6662 0.1867  3 H 1.21-1.25
B 0.5655 0.2522 0.9816  3 H 1.21-1.25
H 0.0322 0.1299 0.7860  1 B 1.24
H 0.7178 0.0038 0.5977  1 B 1.24
H 0.3439 0.2462 0.2140  1 B 1.24
H 0.4061 0.1201 0.4023  1 B 1.24
H 0.7538 0.9678 0.0977  1 B 1.24
H 0.9962 0.5939 0.7140  1 B 1.24
H 0.8701 0.6561 0.9023  1 B 1.24
H 0.8799 0.2822 0.2860  1 B 1.24
H 0.8571 0.1246 0.6036  1 B 1.25
H 0.8929 0.9965 0.7675  1 B 1.25
H 0.5210 0.2535 0.3964  1 B 1.25
H 0.2290 0.1254 0.2325  1 B 1.25
H 0.7465 0.1429 0.2675  1 B 1.25
H 0.0035 0.7710 0.8964  1 B 1.25
H 0.8754 0.4790 0.7325  1 B 1.25
H 0.8746 0.1071 0.1036  1 B 1.25
H 0.9963 0.2983 0.8063  1 B 1.21
H 0.7537 0.0601 0.8020  1 B 1.21
H 0.4920 0.1899 0.1937  1 B 1.21
H 0.2580 0.9517 0.1980  1 B 1.21
H 0.8101 0.0037 0.3020  1 B 1.21
H 0.9399 0.7420 0.6937  1 B 1.21
H 0.7017 0.5080 0.6980  1 B 1.21
H 0.0483 0.2463 0.3063  1 B 1.21
H 0.0125 0.8353 0.5964  1 B 1.25
H 0.7375 0.8339 0.3228  1 B 1.25
H 0.2389 0.4161 0.4036  1 B 1.25
H 0.5111 0.4147 0.6772  1 B 1.25
H 0.5839 0.9875 0.8228  1 B 1.25
H 0.1661 0.4889 0.9036  1 B 1.25
H 0.1647 0.7611 0.1772  1 B 1.25
H 0.5853 0.2625 0.0964  1 B 1.25
H 0.9821 0.9156 0.4834  1 B 1.25
H 0.7679 0.7513 0.4335  1 B 1.25
H 0.4322 0.4987 0.5166  1 B 1.25
H 0.3178 0.3344 0.5665  1 B 1.25
H 0.5013 0.0179 0.9335  1 B 1.25
H 0.2487 0.6822 0.0166  1 B 1.25
H 0.0844 0.5678 0.0665  1 B 1.25
H 0.6656 0.2321 0.9834  1 B 1.25
H 0.1050 0.7948 0.4972  1 B 1.21
H 0.6450 0.6422 0.1898  1 B 1.21
H 0.2976 0.6078 0.5028  1 B 1.21
H 0.4524 0.4552 0.8102  1 B 1.21
H 0.3922 0.8950 0.6898  1 B 1.21
H 0.3578 0.5476 0.0028  1 B 1.21
H 0.2052 0.7024 0.3102  1 B 1.21
H 0.5448 0.3550 0.9972  1 B 1.21
H 0.8219 0.3821 0.8562  1 C 1.10
H 0.9281 0.2843 0.0602  1 C 1.10
H 0.5259 0.9657 0.1438  1 C 1.10
H 0.2241 0.8679 0.9398  1 C 1.10
H 0.0343 0.1781 0.5602  1 C 1.10
H 0.7157 0.7759 0.6438  1 C 1.10
H 0.6179 0.4741 0.4398  1 C 1.10
H 0.1321 0.0719 0.3562  1 C 1.10
H 0.6957 0.2294 0.6712  1 C 1.09
H 0.0543 0.2255 0.0336  1 C 1.09
H 0.5582 0.0245 0.3288  1 C 1.09
H 0.1918 0.0206 0.9664  1 C 1.09
H 0.9755 0.3043 0.5336  1 C 1.09
H 0.7745 0.8082 0.8288  1 C 1.09
H 0.7706 0.4418 0.4664  1 C 1.09
H 0.9794 0.9457 0.1712  1 C 1.09
H 0.7272 0.2929 0.8573  1 C 1.10
H 0.0228 0.3801 0.0658  1 C 1.10
H 0.4356 0.8699 0.1427  1 C 1.10
H 0.3144 0.9571 0.9342  1 C 1.10
H 0.1301 0.2728 0.5658  1 C 1.10
H 0.6199 0.6856 0.6427  1 C 1.10
H 0.7071 0.5644 0.4342  1 C 1.10
H 0.0429 0.9772 0.3573  1 C 1.10
H 0.9398 0.6405 0.1755  1 C 1.10
H 0.8102 0.4857 0.2007  1 C 1.10
H 0.4650 0.7643 0.8245  1 C 1.10
H 0.2850 0.6095 0.7993  1 C 1.10
H 0.2357 0.0602 0.7007  1 C 1.10
H 0.5143 0.7150 0.3245  1 C 1.10
H 0.3595 0.5350 0.2993  1 C 1.10
H 0.3905 0.1898 0.6755  1 C 1.10
H 0.7621 0.5805 0.0621  1 C 1.10
H 0.9879 0.5499 0.3184  1 C 1.10
H 0.5184 0.7001 0.9379  1 C 1.10
H 0.2316 0.6695 0.6816  1 C 1.10
H 0.2999 0.2379 0.8184  1 C 1.10
H 0.4501 0.7684 0.4379  1 C 1.10
H 0.4195 0.4816 0.1816  1 C 1.10
H 0.3305 0.0121 0.5621  1 C 1.10
H 0.8350 0.7534 0.1774  1 C 1.09
H 0.9150 0.5924 0.4184  1 C 1.09
H 0.5760 0.6576 0.8226  1 C 1.09
H 0.1740 0.4966 0.5816  1 C 1.09
H 0.3424 0.1650 0.9184  1 C 1.09
H 0.4076 0.8260 0.3226  1 C 1.09
H 0.2466 0.4240 0.0816  1 C 1.09
H 0.5034 0.0850 0.6774  1 C 1.09
C 0.7735 0.2826 0.8022  3 H 1.09-1.10
C 0.9765 0.2787 0.0091  3 H 1.09-1.10
C 0.4804 0.9713 0.1978  3 H 1.09-1.10
C 0.2696 0.9674 0.9909  3 H 1.09-1.10
C 0.0287 0.2265 0.5091  3 H 1.09-1.10
C 0.7213 0.7304 0.6978  3 H 1.09-1.10
C 0.7174 0.5196 0.4909  3 H 1.09-1.10
C 0.0326 0.0235 0.3022  3 H 1.09-1.10
C 0.8521 0.6646 0.1738  3 H 1.09-1.10
C 0.8979 0.5717 0.3125  3 H 1.09-1.10
C 0.4908 0.6783 0.8262  3 H 1.09-1.10
C 0.2592 0.5854 0.6875  3 H 1.09-1.10
C 0.3217 0.1479 0.8125  3 H 1.09-1.10
C 0.4283 0.7408 0.3262  3 H 1.09-1.10
C 0.3354 0.5092 0.1875  3 H 1.09-1.10
C 0.4146 0.1021 0.6738  3 H 1.09-1.10
N 0.8750 0.2053 0.8303  2 C 1.49, 2 B 1.59
N 0.3750 0.0447 0.1697  2 C 1.49, 2 B 1.59
N 0.9553 0.1250 0.3303  2 C 1.49, 2 B 1.59
N 0.7947 0.6250 0.6697  2 C 1.49, 2 B 1.59
N 0.8750 0.6925 0.3175  2 C 1.49, 2 B 1.59
N 0.3750 0.5575 0.6825  2 C 1.49, 2 B 1.59
N 0.4425 0.1250 0.8175  2 C 1.49, 2 B 1.59
N 0.3075 0.6250 0.1825  2 C 1.49, 2 B 1.59

A plane-wave DFT calculation with PBE was carried out for a geometry-optimized Si2BPH29C9N structure.

Computed properties:
Calculated volume ... 11.20 Å³ per atom
Energy ... -5.138 eV/atom
Symmetry ... No. 36

Cell: 9.3881 9.3881 11.5980 Å, 90.00 90.00 109.60°
Last column: nearest neighbours and their distance in Å.
Fractional positions:
Si 0.2155 0.9782 0.8387  3 C 1.89
Si 0.9782 0.2155 0.8387  3 C 1.89
Si 0.7845 0.0218 0.3387  3 C 1.89
Si 0.0218 0.7845 0.3387  3 C 1.89
B 0.3475 0.3475 0.9167  2 H 1.22
B 0.6525 0.6525 0.4167  2 H 1.22
P 0.1629 0.1629 0.9370  1 B 2.01
P 0.8371 0.8371 0.4370  1 B 2.01
H 0.3796 0.8278 0.8845  1 C 1.10
H 0.8278 0.3796 0.8845  1 C 1.10
H 0.6204 0.1722 0.3845  1 C 1.10
H 0.1722 0.6204 0.3845  1 C 1.10
H 0.3000 0.8731 0.0135  1 C 1.10
H 0.8731 0.3000 0.0135  1 C 1.10
H 0.7000 0.1269 0.5135  1 C 1.10
H 0.1269 0.7000 0.5135  1 C 1.10
H 0.4572 0.0112 0.9463  1 C 1.10
H 0.0112 0.4572 0.9463  1 C 1.10
H 0.5429 0.9888 0.4463  1 C 1.10
H 0.9888 0.5429 0.4463  1 C 1.10
H 0.9683 0.8242 0.7505  1 C 1.10
H 0.8242 0.9683 0.7505  1 C 1.10
H 0.0317 0.1758 0.2505  1 C 1.10
H 0.1758 0.0317 0.2505  1 C 1.10
H 0.9792 0.7671 0.8965  1 C 1.10
H 0.7671 0.9792 0.8965  1 C 1.10
H 0.0208 0.2329 0.3965  1 C 1.10
H 0.2329 0.0208 0.3965  1 C 1.10
H 0.0817 0.7123 0.7856  1 C 1.10
H 0.7123 0.0817 0.7856  1 C 1.10
H 0.9183 0.2877 0.2856  1 C 1.10
H 0.2877 0.9183 0.2856  1 C 1.10
H 0.3331 0.9362 0.6541  1 C 1.10
H 0.9362 0.3331 0.6541  1 C 1.10
H 0.6669 0.0638 0.1541  1 C 1.10
H 0.0638 0.6669 0.1541  1 C 1.10
H 0.4079 0.1292 0.6967  1 C 1.10
H 0.1292 0.4079 0.6967  1 C 1.10
H 0.5921 0.8708 0.1967  1 C 1.10
H 0.8708 0.5921 0.1967  1 C 1.10
H 0.2245 0.0568 0.6327  1 C 1.10
H 0.0568 0.2245 0.6327  1 C 1.10
H 0.7755 0.9432 0.1327  1 C 1.10
H 0.9432 0.7755 0.1327  1 C 1.10
H 0.5231 0.6399 0.9658  1 C 1.09
H 0.6399 0.5231 0.9658  1 C 1.09
H 0.4769 0.3601 0.4658  1 C 1.09
H 0.3601 0.4769 0.4658  1 C 1.09
H 0.6095 0.6095 0.0974  1 C 1.10
H 0.3905 0.3905 0.5974  1 C 1.10
H 0.2166 0.3792 0.1322  1 C 1.10
H 0.3792 0.2166 0.1322  1 C 1.10
H 0.7834 0.6208 0.6322  1 C 1.10
H 0.6208 0.7834 0.6322  1 C 1.10
H 0.2866 0.5598 0.0621  1 C 1.09
H 0.5598 0.2866 0.0621  1 C 1.09
H 0.7134 0.4402 0.5621  1 C 1.09
H 0.4402 0.7134 0.5621  1 C 1.09
H 0.3761 0.5271 0.1914  1 C 1.10
H 0.5271 0.3761 0.1914  1 C 1.10
H 0.6239 0.4729 0.6914  1 C 1.10
H 0.4729 0.6239 0.6914  1 C 1.10
H 0.4494 0.3166 0.8693  1 B 1.22
H 0.3166 0.4494 0.8693  1 B 1.22
H 0.5506 0.6834 0.3693  1 B 1.22
H 0.6834 0.5506 0.3693  1 B 1.22
C 0.3514 0.9177 0.9301  3 H 1.10
C 0.9177 0.3514 0.9301  3 H 1.10
C 0.6486 0.0823 0.4301  3 H 1.10
C 0.0823 0.6486 0.4301  3 H 1.10
C 0.0435 0.8046 0.8165  3 H 1.10
C 0.8046 0.0435 0.8165  3 H 1.10
C 0.9565 0.1954 0.3165  3 H 1.10
C 0.1954 0.9565 0.3165  3 H 1.10
C 0.3040 0.0308 0.6917  3 H 1.10
C 0.0308 0.3040 0.6917  3 H 1.10
C 0.6960 0.9692 0.1917  3 H 1.10
C 0.9692 0.6960 0.1917  3 H 1.10
C 0.5584 0.5584 0.0155  3 H 1.09-1.10
C 0.4416 0.4416 0.5155  3 H 1.09-1.10
C 0.3178 0.4757 0.1115  3 H 1.09-1.10
C 0.4757 0.3178 0.1115  3 H 1.09-1.10
C 0.6822 0.5243 0.6115  3 H 1.09-1.10
C 0.5243 0.6822 0.6115  3 H 1.09-1.10
N 0.4230 0.4230 0.0409  3 C 1.49, 1 B 1.66
N 0.5770 0.5770 0.5409  3 C 1.49, 1 B 1.66

Computed M_tot, in the same sequence as the records: 0.32 0.00 20.14 0.00 μB per cell.